# NaEuDySeO6 | the Materials Project database | PBE | optimized geometry
data_NaEuDySeO6
_cell_length_a 5.7392
_cell_length_b 5.7392
_cell_length_c 5.7392
_cell_angle_alpha 60.00
_cell_angle_beta 60.00
_cell_angle_gamma 60.00
_space_group_name_H-M_alt 'P 1'
_space_group_IT_number 1
loop_
_space_group_symop_operation_xyz
'x,y,z'
loop_
_atom_site_label
_atom_site_fract_x
_atom_site_fract_y
_atom_site_fract_z
Na1 0.0000 0.0000 0.0000
Eu1 0.5000 0.5000 0.5000
Dy1 0.2500 0.2500 0.2500
Se1 0.7500 0.7500 0.7500
O1 0.5217 0.5217 0.9783
O2 0.5217 0.9783 0.5217
O3 0.5217 0.9783 0.9783
O4 0.9783 0.5217 0.5217
O5 0.9783 0.5217 0.9783
O6 0.9783 0.9783 0.5217
# * SG: F-43m, No. 216
# * ΔE to the lowest computed polymorph: 0.0 meV per atom
# * ΔH_f (0 K): -24.21 eV per formula unit

=====

# ErRe2O8 | the Materials Project database | PBE | optimized geometry
data_ErRe2O8
_cell_length_a 6.0548
_cell_length_b 6.0548
_cell_length_c 6.2778
_cell_angle_alpha 90.00
_cell_angle_beta 90.00
_cell_angle_gamma 120.00
_space_group_name_H-M_alt 'P 1'
_space_group_IT_number 1
loop_
_space_group_symop_operation_xyz
'x,y,z'
loop_
_atom_site_label
_atom_site_fract_x
_atom_site_fract_y
_atom_site_fract_z
Er1 0.0000 0.0000 0.0000
Re1 0.3333 0.6667 0.2970
Re2 0.6667 0.3333 0.7030
O1 0.1366 0.3471 0.2024
O2 0.2105 0.8634 0.2024
O3 0.3333 0.6667 0.5750
O4 0.3471 0.2105 0.7976
O5 0.6529 0.7895 0.2024
O6 0.6667 0.3333 0.4250
O7 0.7895 0.1366 0.7976
O8 0.8634 0.6529 0.7976
# * SG: P-3, No. 147
# * ΔH_f (0 K): -27.98 eV per formula unit

=====

# Ce4S4Cl2O | the Materials Project database | PBE | optimized geometry
data_Ce4S4Cl2O
_cell_length_a 9.2190
_cell_length_b 9.2190
_cell_length_c 6.9779
_cell_angle_alpha 90.00
_cell_angle_beta 90.00
_cell_angle_gamma 120.61
_space_group_name_H-M_alt 'P 1'
_space_group_IT_number 1
loop_
_space_group_symop_operation_xyz
'x,y,z'
loop_
_atom_site_label
_atom_site_fract_x
_atom_site_fract_y
_atom_site_fract_z
Ce1 0.1071 0.3117 0.4686
Ce2 0.1760 0.8240 0.5000
Ce3 0.3032 0.6968 0.9492
Ce4 0.3117 0.1071 0.9686
Ce5 0.6883 0.8929 0.4686
Ce6 0.6968 0.3032 0.4492
Ce7 0.8240 0.1760 0.0000
Ce8 0.8929 0.6883 0.9686
S1 0.0324 0.5564 0.2386
S2 0.0358 0.9642 0.2437
S3 0.3656 0.6344 0.5737
S4 0.4436 0.9676 0.2386
S5 0.5564 0.0324 0.7386
S6 0.6344 0.3656 0.0737
S7 0.9642 0.0358 0.7437
S8 0.9676 0.4436 0.7386
Cl1 0.2372 0.3680 0.0731
Cl2 0.3680 0.2372 0.5731
Cl3 0.6320 0.7628 0.0731
Cl4 0.7628 0.6320 0.5731
O1 0.1664 0.8336 0.8471
O2 0.8336 0.1664 0.3471
# * SG: Cmc2_1, No. 36
# * ΔH_f (0 K): -27.74 eV per formula unit

=====

# NbO2F | the Materials Project database | PBE | optimized geometry
data_NbO2F
_cell_length_a 3.9094
_cell_length_b 3.9094
_cell_length_c 4.1553
_cell_angle_alpha 90.00
_cell_angle_beta 90.00
_cell_angle_gamma 90.00
_space_group_name_H-M_alt 'P 1'
_space_group_IT_number 1
loop_
_space_group_symop_operation_xyz
'x,y,z'
loop_
_atom_site_label
_atom_site_fract_x
_atom_site_fract_y
_atom_site_fract_z
Nb1 0.0000 0.0000 0.0000
O1 0.0000 0.5000 0.0000
O2 0.5000 0.0000 0.0000
F1 0.0000 0.0000 0.5000
# * SG: P4/mmm, No. 123
# * ΔH_f (0 K): -12.25 eV per formula unit

=====

# La2P3H7O11 | the Materials Project database | PBE | optimized geometry
data_La2P3H7O11
_cell_length_a 8.3473
_cell_length_b 8.5941
_cell_length_c 9.3810
_cell_angle_alpha 115.20
_cell_angle_beta 99.17
_cell_angle_gamma 105.92
_space_group_name_H-M_alt 'P 1'
_space_group_IT_number 1
loop_
_space_group_symop_operation_xyz
'x,y,z'
loop_
_atom_site_label
_atom_site_fract_x
_atom_site_fract_y
_atom_site_fract_z
La1 0.0975 0.2959 0.3573
La2 0.3270 0.2663 0.9941
La3 0.6730 0.7337 0.0059
La4 0.9025 0.7041 0.6427
P1 0.1168 0.8982 0.1059
P2 0.3351 0.7737 0.7382
P3 0.4946 0.3354 0.6569
P4 0.5054 0.6646 0.3431
P5 0.6649 0.2263 0.2618
P6 0.8832 0.1018 0.8941
H1 0.0326 0.8893 0.3919
H2 0.1032 0.3950 0.7810
H3 0.1388 0.5685 0.9449
H4 0.1745 0.9004 0.5331
H5 0.2307 0.8344 0.1726
H6 0.4452 0.8117 0.4007
H7 0.4624 0.7875 0.6577
H8 0.5376 0.2125 0.3423
H9 0.5548 0.1883 0.5993
H10 0.7693 0.1656 0.8274
H11 0.8255 0.0996 0.4669
H12 0.8612 0.4315 0.0551
H13 0.8968 0.6050 0.2190
H14 0.9674 0.1107 0.6081
O1 0.0090 0.0676 0.7880
O2 0.0163 0.7465 0.9250
O3 0.0534 0.8288 0.4584
O4 0.1415 0.4440 0.9010
O5 0.1674 0.5984 0.6090
O6 0.2259 0.0893 0.1324
O7 0.2841 0.9440 0.7794
O8 0.3193 0.2683 0.5275
O9 0.3599 0.4868 0.3125
O10 0.4123 0.7553 0.8861
O11 0.4759 0.3702 0.8284
O12 0.5241 0.6298 0.1716
O13 0.5877 0.2447 0.1139
O14 0.6401 0.5132 0.6875
O15 0.6807 0.7317 0.4725
O16 0.7159 0.0560 0.2206
O17 0.7741 0.9107 0.8676
O18 0.8326 0.4016 0.3910
O19 0.8585 0.5560 0.0990
O20 0.9466 0.1712 0.5416
O21 0.9837 0.2535 0.0750
O22 0.9910 0.9324 0.2120
# * SG: P-1, No. 2
# * ΔE to the lowest computed polymorph: 0.0 meV per atom
# * ΔH_f (0 K): -52.54 eV per formula unit

=====

# Mg6ZnNi | the Materials Project database | PBE | optimized geometry
data_Mg6ZnNi
_cell_length_a 4.8323
_cell_length_b 6.0570
_cell_length_c 10.4503
_cell_angle_alpha 90.00
_cell_angle_beta 90.00
_cell_angle_gamma 90.00
_space_group_name_H-M_alt 'P 1'
_space_group_IT_number 1
loop_
_space_group_symop_operation_xyz
'x,y,z'
loop_
_atom_site_label
_atom_site_fract_x
_atom_site_fract_y
_atom_site_fract_z
Mg1 0.0000 0.2637 0.0918
Mg2 0.0000 0.7363 0.0918
Mg3 0.0000 0.5000 0.8339
Mg4 0.5000 0.2436 0.9114
Mg5 0.5000 0.7564 0.9114
Mg6 0.5000 0.5000 0.6656
Mg7 0.0000 0.7637 0.5918
Mg8 0.0000 0.2363 0.5918
Mg9 0.0000 0.0000 0.3339
Mg10 0.5000 0.7436 0.4114
Mg11 0.5000 0.2564 0.4114
Mg12 0.5000 0.0000 0.1656
Zn1 0.0000 0.5000 0.3290
Zn2 0.0000 0.0000 0.8290
Ni1 0.5000 0.5000 0.1651
Ni2 0.5000 0.0000 0.6651
# * ΔE to the lowest computed polymorph: 0.0 meV per atom
# * ΔH_f (0 K): 0.08 eV per formula unit